## A
KMg14Sn PBE-GGA optimized geometry; space-group type = Amm2, No. 38
1.0
6.5152 -0.0394 0.0000
-3.2917 5.7014 0.0000
0.0000 0.0000 10.6379
K Mg Sn
1 14 1
direct
0.1690 0.8345 0.1250
0.1643 0.3321 0.6250
0.1684 0.8342 0.6250
0.6674 0.3404 0.1250
0.6687 0.3308 0.6250
0.6674 0.8269 0.1250
0.6687 0.8379 0.6250
0.3341 0.1736 0.3871
0.3341 0.1736 0.8629
0.3341 0.6605 0.3871
0.3341 0.6605 0.8629
0.8318 0.1659 0.3712
0.8318 0.1659 0.8788
0.8235 0.6617 0.3896
0.8235 0.6617 0.8604
0.1794 0.3397 0.1250

## B
KMg14Sn PBE-GGA optimized geometry; space-group type = P-6m2, No. 187
1.0
-3.7779 -1.1361 -5.1418
6.2824 -1.5810 -0.1823
-2.3655 -9.8510 3.9147
K Mg Sn
1 14 1
direct
0.1667 0.3333 0.6250
0.1636 0.8318 0.1250
0.1732 0.8366 0.6250
0.6682 0.3364 0.1250
0.6634 0.3268 0.6250
0.6682 0.8318 0.1250
0.6634 0.8366 0.6250
0.3368 0.1632 0.3671
0.3368 0.1632 0.8829
0.3368 0.6735 0.3671
0.3368 0.6735 0.8829
0.8265 0.1632 0.3671
0.8265 0.1632 0.8829
0.8333 0.6667 0.3815
0.8333 0.6667 0.8685
0.1667 0.3333 0.1250

What should be chosen as the least stable of them? Choose B.

## A
KSrMg6 PBE-GGA optimized geometry; space-group type = Amm2, No. 38
1.0
3.8056 -5.8646 0.0000
3.8056 5.8646 0.0000
0.0000 0.0000 5.5401
K Sr Mg
1 1 6
direct
0.8362 0.1638 0.5000
0.3403 0.6597 0.5000
0.3292 0.1613 0.5000
0.8387 0.6708 0.5000
0.1790 0.3227 0.0000
0.6773 0.8210 0.0000
0.6480 0.3520 0.0000
0.1513 0.8487 0.0000

## B
# KSrMg6

Crystalline KSrMg6 at its relaxed geometry (PBE-GGA, Materials Project).

```
KSrMg6
1.0
-1.5454 4.3447 3.1173
-6.5537 -2.5543 0.3110
2.9327 -6.2816 10.2086
K Sr Mg
2 2 12
direct
0.0000 0.0000 0.8396
0.0000 0.5000 0.3396
0.5000 0.0000 0.6612
0.5000 0.5000 0.1612
0.0000 0.7427 0.5809
0.0000 0.2573 0.5809
0.0000 0.5000 0.8331
0.5000 0.2576 0.9195
0.5000 0.7424 0.9195
0.5000 0.5000 0.6654
0.0000 0.2427 0.0809
0.0000 0.7573 0.0809
0.0000 0.0000 0.3331
0.5000 0.7576 0.4195
0.5000 0.2424 0.4195
0.5000 0.0000 0.1654
```

What should be chosen as the least stable of them? Choose A.

## A
KMg14Ti PBE-GGA optimized geometry; space-group type = P-6m2, No. 187
1.0
6.5443 0.0000 0.0000
-3.2721 5.6675 0.0000
0.0000 0.0000 10.3147
K Mg Ti
1 14 1
direct
0.1667 0.3333 0.6250
0.1671 0.8335 0.1250
0.1745 0.8372 0.6250
0.6665 0.3329 0.1250
0.6628 0.3255 0.6250
0.6665 0.8335 0.1250
0.6628 0.8372 0.6250
0.3343 0.1657 0.3603
0.3343 0.1657 0.8897
0.3343 0.6686 0.3603
0.3343 0.6686 0.8897
0.8314 0.1657 0.3603
0.8314 0.1657 0.8897
0.8333 0.6667 0.3782
0.8333 0.6667 0.8718
0.1667 0.3333 0.1250

## B
KMg14Ti PBE-GGA optimized geometry; space-group type = Amm2, No. 38
1.0
-3.9823 -2.3142 -4.6115
6.1196 1.9953 -1.5375
3.5650 -9.5957 1.7368
K Mg Ti
1 14 1
direct
0.1622 0.8311 0.1250
0.1656 0.3328 0.6250
0.1687 0.8343 0.6250
0.6619 0.3312 0.1250
0.6675 0.3308 0.6250
0.6619 0.8307 0.1250
0.6675 0.8367 0.6250
0.3336 0.1793 0.3805
0.3336 0.1793 0.8695
0.3336 0.6544 0.3805
0.3336 0.6544 0.8695
0.8407 0.1704 0.3672
0.8407 0.1704 0.8828
0.8202 0.6601 0.3863
0.8202 0.6601 0.8637
0.1883 0.3441 0.1250

What should be chosen as the least stable of them? Choose B.

## A
KMg6Ti PBE-GGA optimized geometry; space-group type = P-6m2, No. 187
1.0
4.3213 3.6156 3.3949
-4.9282 -3.0320 3.1291
2.9864 -4.1813 0.6519
K Mg Ti
1 6 1
direct
0.6667 0.3333 0.0000
0.8410 0.6821 0.5000
0.3179 0.1590 0.5000
0.8410 0.1590 0.5000
0.1783 0.3566 0.0000
0.6434 0.8217 0.0000
0.1783 0.8217 0.0000
0.3333 0.6667 0.5000

## B
KMg6Ti PBE-GGA optimized geometry; space-group type = Amm2, No. 38
1.0
-0.2637 6.4167 -1.2729
-5.5911 -3.3814 0.4126
-0.2333 1.0173 5.1768
K Mg Ti
1 6 1
direct
0.5837 0.4163 0.5000
0.9301 0.5931 0.0000
0.4069 0.0699 0.0000
0.4063 0.5937 0.0000
0.6084 0.9282 0.5000
0.0718 0.3916 0.5000
0.0766 0.9234 0.5000
0.9161 0.0839 0.0000

What should be chosen as the least stable of them? Choose A.